A relaxed CaAsO7 crystal. Source: the Materials Project database, functional PBE-GGA.

Cell: 9.564 14.197 9.761 Å, 90.00 90.00 90.00°
Positions (direct):
Ca1 0.193 0.130 0.124
Ca2 0.193 0.370 0.624
Ca3 0.307 0.630 0.124
Ca4 0.307 0.870 0.624
Ca5 0.693 0.130 0.376
Ca6 0.693 0.370 0.876
Ca7 0.807 0.630 0.376
Ca8 0.807 0.870 0.876
As1 0.128 0.632 0.556
As2 0.128 0.868 0.056
As3 0.372 0.132 0.556
As4 0.372 0.368 0.056
As5 0.628 0.632 0.944
As6 0.628 0.868 0.444
As7 0.872 0.132 0.944
As8 0.872 0.368 0.444
O1 0.005 0.081 0.620
O2 0.005 0.419 0.120
O3 0.045 0.152 0.950
O4 0.045 0.348 0.450
O5 0.061 0.624 0.267
O6 0.061 0.876 0.767
O7 0.117 0.588 0.919
O8 0.117 0.912 0.419
O9 0.172 0.625 0.350
O10 0.172 0.875 0.850
O11 0.185 0.527 0.608
O12 0.185 0.973 0.108
O13 0.229 0.723 0.601
O14 0.229 0.777 0.101
O15 0.271 0.223 0.601
O16 0.271 0.277 0.101
O17 0.315 0.027 0.608
O18 0.315 0.473 0.108
O19 0.328 0.125 0.350
O20 0.328 0.375 0.850
O21 0.383 0.088 0.919
O22 0.383 0.412 0.419
O23 0.439 0.124 0.267
O24 0.439 0.376 0.767
O25 0.455 0.652 0.950
O26 0.455 0.848 0.450
O27 0.495 0.581 0.620
O28 0.495 0.919 0.120
O29 0.505 0.081 0.880
O30 0.505 0.419 0.380
O31 0.545 0.152 0.550
O32 0.545 0.348 0.050
O33 0.561 0.624 0.233
O34 0.561 0.876 0.733
O35 0.617 0.588 0.581
O36 0.617 0.912 0.081
O37 0.672 0.625 0.150
O38 0.672 0.875 0.650
O39 0.685 0.527 0.892
O40 0.685 0.973 0.392
O41 0.729 0.723 0.899
O42 0.729 0.777 0.399
O43 0.771 0.223 0.899
O44 0.771 0.277 0.399
O45 0.815 0.027 0.892
O46 0.815 0.473 0.392
O47 0.828 0.125 0.150
O48 0.828 0.375 0.650
O49 0.883 0.088 0.581
O50 0.883 0.412 0.081
O51 0.939 0.124 0.233
O52 0.939 0.376 0.733
O53 0.955 0.652 0.550
O54 0.955 0.848 0.050
O55 0.995 0.581 0.880
O56 0.995 0.919 0.380

Values from the calculation:
V   18.4 Å³/atom
Energy of formation   -27.40 kcal/mol of atoms